Run 1
Crystalline MoP2O8 at its relaxed geometry, computed with PBE+U.

a = 4.9540 Å, b = 7.5442 Å, c = 7.9362 Å
α = 90.00°, β = 90.00°, γ = 90.00°
With the nearest neighbours (Å) after each atom.
Positions (direct):
O (0.2298, 0.1374, 0.4521)  1 P 1.49
O (0.5000, 0.7500, 0.2788)  2 P 1.61
O (0.7206, 0.8520, 0.9102)  1 Mo 1.71
O (0.7794, 0.3520, 0.0898)  1 Mo 1.71
O (0.2794, 0.6480, 0.9102)  1 Mo 1.71
O (0.2206, 0.1480, 0.0898)  1 Mo 1.71
O (0.2435, 0.4641, 0.2704)  1 P 1.51
O (0.2565, 0.9641, 0.7296)  1 P 1.51
O (0.7298, 0.8626, 0.5479)  1 P 1.49
O (0.2702, 0.6374, 0.5479)  1 P 1.49
O (0.7435, 0.5359, 0.7296)  1 P 1.51
O (0.0000, 0.2500, 0.7212)  2 P 1.61
O (0.0000, 0.7500, 0.2918)  2 P 1.60
O (0.5000, 0.2500, 0.7082)  2 P 1.60
O (0.7702, 0.3626, 0.4521)  1 P 1.49
O (0.7565, 0.0359, 0.2704)  1 P 1.51
P (0.7464, 0.8592, 0.3600)  4 O 1.49-1.61
P (0.7536, 0.3592, 0.6400)  4 O 1.49-1.61
P (0.2464, 0.1408, 0.6400)  4 O 1.49-1.61
P (0.2536, 0.6408, 0.3600)  4 O 1.49-1.61
Mo (0.5000, 0.7500, 0.7764)  2 O 1.71
Mo (0.0000, 0.2500, 0.2236)  2 O 1.71

Run 2
Crystalline MoP2O8 at its relaxed geometry, computed with PBE+U.

a = 11.9110 Å, b = 9.9817 Å, c = 17.4356 Å
α = 67.78°, β = 90.00°, γ = 90.00°
With the nearest neighbours (Å) after each atom.
Positions (direct):
O (0.9226, 0.8753, 0.9596)  2 P 1.60-1.65
O (0.6369, 0.9281, 0.6574)  1 Mo 1.70
O (0.5078, 0.3792, 0.7577)  1 P 1.46
O (0.7247, 0.5028, 0.3751)  1 P 1.56
O (0.4741, 0.9900, 0.9208)  1 P 1.46
O (0.4226, 0.1247, 0.5404)  2 P 1.60-1.65
O (0.9275, 0.5425, 0.3349)  2 P 1.60-1.64
O (0.7641, 0.6407, 0.1629)  1 Mo 1.69
O (0.9741, 0.0100, 0.5792)  1 P 1.46
O (0.7207, 0.8342, 0.0025)  1 P 1.56
O (0.7793, 0.8342, 0.5025)  1 P 1.56
O (0.9922, 0.3792, 0.2577)  1 P 1.46
O (0.3047, 0.9209, 0.5367)  1 P 1.55
O (0.5528, 0.9891, 0.7836)  1 P 1.56
O (0.4435, 0.3428, 0.9061)  1 P 1.58
O (0.9470, 0.3088, 0.9537)  1 P 1.57
O (0.8589, 0.6161, 0.0261)  1 P 1.57
O (0.9985, 0.6834, 0.9048)  1 P 1.46
O (0.7699, 0.9807, 0.8505)  1 P 1.49
O (0.2373, 0.7226, 0.4697)  1 P 1.49
O (0.2207, 0.1658, 0.4975)  1 P 1.56
O (0.0725, 0.4575, 0.6651)  2 P 1.60-1.64
O (0.6485, 0.9436, 0.2102)  1 P 1.57
O (0.7839, 0.1672, 0.1851)  1 P 1.56
O (0.1485, 0.0564, 0.2898)  1 P 1.57
O (0.3543, 0.7039, 0.6832)  1 Mo 1.69
O (0.9167, 0.2010, 0.6407)  2 P 1.60-1.65
O (0.6953, 0.0791, 0.4633)  1 P 1.55
O (0.7373, 0.2774, 0.0303)  1 P 1.49
O (0.0833, 0.7990, 0.3594)  2 P 1.60-1.65
O (0.1426, 0.4073, 0.5385)  1 P 1.50
O (0.0078, 0.6208, 0.7423)  1 P 1.46
O (0.4275, 0.4575, 0.1651)  2 P 1.60-1.64
O (0.1369, 0.0719, 0.8426)  1 Mo 1.70
O (0.1427, 0.7143, 0.6175)  1 P 1.57
O (0.2994, 0.5847, 0.8751)  1 P 1.54
O (0.2161, 0.8328, 0.8149)  1 P 1.56
O (0.6427, 0.2857, 0.8825)  1 P 1.57
O (0.5259, 0.0100, 0.0792)  1 P 1.46
O (0.0259, 0.9900, 0.4208)  1 P 1.46
O (0.2301, 0.0193, 0.1495)  1 P 1.49
O (0.7994, 0.4153, 0.6249)  1 P 1.54
O (0.1958, 0.2482, 0.6857)  1 P 1.54
O (0.7161, 0.1672, 0.6851)  1 P 1.56
O (0.6457, 0.2961, 0.3168)  1 Mo 1.69
O (0.5774, 0.8753, 0.4596)  2 P 1.60-1.65
O (0.0530, 0.6912, 0.0463)  1 P 1.57
O (0.0015, 0.3166, 0.0952)  1 P 1.46
O (0.8543, 0.2961, 0.8168)  1 Mo 1.69
O (0.1457, 0.7039, 0.1832)  1 Mo 1.69
O (0.4922, 0.6208, 0.2423)  1 P 1.46
O (0.0774, 0.1247, 0.0404)  2 P 1.60-1.65
O (0.2641, 0.3593, 0.3371)  1 Mo 1.69
O (0.5833, 0.2010, 0.1406)  2 P 1.60-1.65
O (0.3515, 0.0564, 0.7898)  1 P 1.57
O (0.5530, 0.3088, 0.4537)  1 P 1.57
O (0.2006, 0.5847, 0.3751)  1 P 1.54
O (0.2247, 0.4972, 0.1249)  1 P 1.56
O (0.2359, 0.3593, 0.8371)  1 Mo 1.69
O (0.4470, 0.6912, 0.5463)  1 P 1.57
O (0.6426, 0.5927, 0.9615)  1 P 1.50
O (0.3631, 0.0719, 0.3426)  1 Mo 1.70
O (0.4472, 0.0109, 0.2164)  1 P 1.56
O (0.9472, 0.9891, 0.2836)  1 P 1.56
O (0.2699, 0.0193, 0.6495)  1 P 1.49
O (0.5015, 0.6834, 0.4048)  1 P 1.46
O (0.2839, 0.8328, 0.3149)  1 P 1.56
O (0.7006, 0.4153, 0.1249)  1 P 1.54
O (0.3574, 0.4073, 0.0385)  1 P 1.50
O (0.2627, 0.7226, 0.9697)  1 P 1.49
O (0.7301, 0.9807, 0.3505)  1 P 1.49
O (0.8047, 0.0791, 0.9633)  1 P 1.55
O (0.8631, 0.9281, 0.1574)  1 Mo 1.70
O (0.3573, 0.7143, 0.1175)  1 P 1.57
O (0.7627, 0.2774, 0.5303)  1 P 1.49
O (0.3042, 0.2482, 0.1857)  1 P 1.54
O (0.1411, 0.3839, 0.9739)  1 P 1.57
O (0.2793, 0.1658, 0.9975)  1 P 1.56
O (0.8573, 0.2857, 0.3825)  1 P 1.57
O (0.5565, 0.6572, 0.0939)  1 P 1.58
O (0.4167, 0.7990, 0.8594)  2 P 1.60-1.65
O (0.0528, 0.0109, 0.7164)  1 P 1.56
O (0.4985, 0.3166, 0.5952)  1 P 1.46
O (0.2753, 0.4972, 0.6249)  1 P 1.56
O (0.6958, 0.7518, 0.8143)  1 P 1.54
O (0.0565, 0.3428, 0.4061)  1 P 1.58
O (0.3589, 0.3839, 0.4739)  1 P 1.57
O (0.8574, 0.5927, 0.4615)  1 P 1.50
O (0.6411, 0.6161, 0.5261)  1 P 1.57
O (0.8042, 0.7518, 0.3143)  1 P 1.54
O (0.1953, 0.9209, 0.0367)  1 P 1.55
O (0.5725, 0.5425, 0.8349)  2 P 1.60-1.64
O (0.8515, 0.9436, 0.7102)  1 P 1.57
O (0.9435, 0.6572, 0.5939)  1 P 1.58
O (0.7359, 0.6407, 0.6629)  1 Mo 1.69
O (0.7753, 0.5028, 0.8751)  1 P 1.56
P (0.5380, 0.7077, 0.4785)  3 O 1.46-1.57
P (0.9606, 0.3806, 0.3385)  3 O 1.46-1.58
P (0.9620, 0.7077, 0.9785)  3 O 1.46-1.57
P (0.7063, 0.2683, 0.1152)  4 O 1.49-1.60
P (0.7937, 0.2683, 0.6152)  4 O 1.49-1.60
P (0.1999, 0.0547, 0.0609)  4 O 1.49-1.60
P (0.3001, 0.0547, 0.5609)  4 O 1.49-1.60
P (0.0394, 0.6194, 0.6615)  3 O 1.46-1.58
P (0.8001, 0.9453, 0.9391)  4 O 1.49-1.60
P (0.6722, 0.5977, 0.8768)  4 O 1.50-1.60
P (0.9518, 0.0328, 0.6558)  3 O 1.46-1.57
P (0.6999, 0.9453, 0.4391)  4 O 1.49-1.60
P (0.2063, 0.7317, 0.3848)  4 O 1.49-1.60
P (0.2937, 0.7317, 0.8848)  4 O 1.49-1.60
P (0.1722, 0.4023, 0.6232)  4 O 1.50-1.60
P (0.3278, 0.4023, 0.1232)  4 O 1.50-1.60
P (0.0380, 0.2923, 0.0215)  3 O 1.46-1.57
P (0.4606, 0.6194, 0.1615)  3 O 1.46-1.58
P (0.8278, 0.5977, 0.3768)  4 O 1.50-1.60
P (0.5482, 0.0328, 0.1558)  3 O 1.46-1.57
P (0.4518, 0.9672, 0.8442)  3 O 1.46-1.57
P (0.0482, 0.9672, 0.3442)  3 O 1.46-1.57
P (0.5394, 0.3806, 0.8385)  3 O 1.46-1.58
P (0.4620, 0.2923, 0.5215)  3 O 1.46-1.57
Mo (0.7124, 0.6292, 0.0752)  1 O 1.69
Mo (0.1974, 0.7064, 0.0921)  1 O 1.69
Mo (0.3056, 0.0434, 0.2609)  1 O 1.70
Mo (0.6944, 0.9566, 0.7391)  1 O 1.70
Mo (0.8026, 0.2936, 0.9079)  1 O 1.69
Mo (0.2124, 0.3708, 0.4248)  1 O 1.69
Mo (0.8056, 0.9566, 0.2391)  1 O 1.70
Mo (0.2876, 0.3708, 0.9248)  1 O 1.69
Mo (0.1944, 0.0434, 0.7609)  1 O 1.70
Mo (0.6974, 0.2936, 0.4079)  1 O 1.69
Mo (0.7876, 0.6292, 0.5752)  1 O 1.69
Mo (0.3026, 0.7064, 0.5921)  1 O 1.69

Which one sits at the top of the stability order? run 1 does.

Run 1
Crystalline LiCrSiO4 at its relaxed geometry, computed with PBE+U.

a = 5.6992 Å, b = 8.0485 Å, c = 5.6992 Å
α = 90.00°, β = 90.00°, γ = 90.00°
With the nearest neighbours (Å) after each atom.
Positions (direct):
O (0.5043, 0.0009, 0.7402)  1 Si 1.70
O (0.5043, 0.9991, 0.2598)  1 Si 1.70
O (0.2598, 0.7491, 0.4957)  1 Si 1.70
O (0.4957, 0.5009, 0.2598)  1 Si 1.70
O (0.2602, 0.2609, 0.9844)  1 Si 1.65
O (0.7402, 0.7509, 0.4957)  1 Si 1.70
O (0.4957, 0.4991, 0.7402)  1 Si 1.70
O (0.9844, 0.0109, 0.7398)  1 Si 1.65
O (0.7402, 0.2491, 0.5043)  1 Si 1.70
O (0.9844, 0.9891, 0.2602)  1 Si 1.65
O (0.7398, 0.2391, 0.9844)  1 Si 1.65
O (0.2598, 0.2509, 0.5043)  1 Si 1.70
O (0.7398, 0.7609, 0.0156)  1 Si 1.65
O (0.0156, 0.5109, 0.2602)  1 Si 1.65
O (0.0156, 0.4891, 0.7398)  1 Si 1.65
O (0.2602, 0.7391, 0.0156)  1 Si 1.65
Si (0.7448, 0.1250, 0.7448)  4 O 1.65-1.70
Si (0.2552, 0.3750, 0.7448)  4 O 1.65-1.70
Si (0.2552, 0.6250, 0.2552)  4 O 1.65-1.70
Si (0.7448, 0.8750, 0.2552)  4 O 1.65-1.70
Cr (0.5000, 0.7500, 0.7649)  6 O 1.98-2.06
Cr (0.7649, 0.5000, 0.5000)  6 O 1.98-2.06
Cr (0.2351, 0.0000, 0.5000)  6 O 1.98-2.06
Cr (0.5000, 0.2500, 0.2351)  6 O 1.98-2.06
Li (0.2201, 0.0000, 0.0000)  6 O 2.00-2.19
Li (0.0000, 0.2500, 0.2201)  6 O 2.00-2.19
Li (0.0000, 0.7500, 0.7799)  6 O 2.00-2.19
Li (0.7799, 0.5000, 0.0000)  6 O 2.00-2.19

Computed properties:
Maximum piezoelectric response = 0.02 C/m2

Run 2
Crystalline LiCrSiO4 at its relaxed geometry, computed with PBE+U.

a = 5.5591 Å, b = 5.9071 Å, c = 8.1979 Å
α = 90.00°, β = 90.00°, γ = 90.00°
With the nearest neighbours (Å) after each atom.
Positions (direct):
O (0.0000, 0.2080, 0.3790)  2 Si 1.86, 1 Cr 2.03, 1 Li 2.05
O (0.5000, 0.7920, 0.3710)  2 Si 1.86, 1 Cr 2.03, 1 Li 2.05
O (0.7609, 0.5000, 0.6580)  1 Si 1.78, 1 Li 1.92
O (0.0000, 0.7920, 0.3791)  2 Si 1.86, 1 Cr 2.03, 1 Li 2.05
O (0.2391, 0.5000, 0.6580)  1 Si 1.78, 1 Li 1.92
O (0.0000, 0.2920, 0.8709)  2 Si 1.86, 1 Cr 2.03, 1 Li 2.05
O (0.7391, 0.5000, 0.0920)  1 Si 1.78, 1 Li 1.92
O (0.7609, 0.0000, 0.5920)  1 Si 1.78, 1 Li 1.92
O (0.5000, 0.2080, 0.3709)  2 Si 1.86, 1 Cr 2.03, 1 Li 2.05
O (0.2609, 0.5000, 0.0920)  1 Si 1.78, 1 Li 1.92
O (0.5000, 0.2920, 0.8790)  2 Si 1.86, 1 Cr 2.03, 1 Li 2.05
O (0.0000, 0.7080, 0.8709)  2 Si 1.86, 1 Cr 2.03, 1 Li 2.05
O (0.2609, 0.0000, 0.1580)  1 Si 1.78, 1 Li 1.92
O (0.5000, 0.7080, 0.8791)  2 Si 1.86, 1 Cr 2.03, 1 Li 2.05
O (0.2391, 0.0000, 0.5920)  1 Si 1.78, 1 Li 1.92
O (0.7392, 0.0000, 0.1580)  1 Si 1.78, 1 Li 1.92
Si (0.2500, 0.5000, 0.8750)  6 O 1.78-1.86
Si (0.2500, 0.0000, 0.3750)  6 O 1.78-1.86
Si (0.7500, 0.0000, 0.3750)  6 O 1.78-1.86
Si (0.7500, 0.5000, 0.8750)  6 O 1.78-1.86
Li (0.5000, 0.5000, 0.5053)  4 O 1.92-2.05
Li (0.0000, 0.0000, 0.0053)  4 O 1.92-2.05
Li (0.5000, 0.0000, 0.7447)  4 O 1.92-2.05
Li (0.0000, 0.5000, 0.2447)  4 O 1.92-2.05
Cr (0.0000, 0.7499, 0.6251)  6 O 2.00-2.03
Cr (0.4999, 0.2500, 0.1250)  6 O 2.00-2.03
Cr (0.0000, 0.2501, 0.6249)  6 O 2.00-2.03
Cr (0.5000, 0.7500, 0.1249)  6 O 2.00-2.03

Which one sits at the top of the stability order? run 1 does.